1 | The following is a DFT calculation (PBE) of Mg6NiMo after structural relaxation.

abc: 4.753 5.975 10.540
angles: 90.00 90.00 90.00
Fractional positions:
Mg 0.500 0.252 0.419
Mg 0.500 0.748 0.419
Mg 0.000 0.750 0.089
Mg 0.000 0.250 0.089
Mg 0.000 0.000 0.321
Mg 0.000 0.500 0.325
Mg 0.500 0.752 0.919
Mg 0.500 0.248 0.919
Mg 0.000 0.250 0.589
Mg 0.000 0.750 0.589
Mg 0.000 0.500 0.821
Mg 0.000 0.000 0.825
Ni 0.500 0.000 0.167
Ni 0.500 0.500 0.667
Mo 0.500 0.500 0.170
Mo 0.500 0.000 0.670

Results
- spin magnetization (Bohr magnetons per cell) = 3.3

2 | The following is a DFT calculation (PBE) of Mg6NiMo after structural relaxation.

abc: 4.713 5.871 10.748
angles: 90.00 90.00 90.00
Fractional positions:
Mg 0.000 0.739 0.085
Mg 0.000 0.261 0.085
Mg 0.000 0.000 0.329
Mg 0.500 0.258 0.421
Mg 0.500 0.742 0.421
Mg 0.500 0.000 0.170
Mg 0.000 0.239 0.585
Mg 0.000 0.761 0.585
Mg 0.000 0.500 0.829
Mg 0.500 0.758 0.921
Mg 0.500 0.242 0.921
Mg 0.500 0.500 0.670
Ni 0.000 0.500 0.303
Ni 0.000 0.000 0.803
Mo 0.500 0.500 0.187
Mo 0.500 0.000 0.687

Results
- spin magnetization (Bohr magnetons per cell) = 0.9

Which one sits at the bottom of the stability order? 1 does.

1 | The following is a DFT calculation (PBE) of MgMo3Se2S4 after structural relaxation.

abc: 3.242 3.242 36.507
angles: 90.00 90.00 120.00
Fractional positions:
Mg 0.000 0.000 0.000
Mo 0.000 0.000 0.133
Mo 0.667 0.333 0.353
Mo 0.667 0.333 0.883
Se 0.667 0.333 0.086
Se 0.667 0.333 0.179
S 0.000 0.000 0.310
S 0.000 0.000 0.395
S 0.000 0.000 0.841
S 0.000 0.000 0.926

Results
- spin magnetization (Bohr magnetons per cell) = 0.0

2 | The following is a DFT calculation (PBE) of MgMo3Se2S4 after structural relaxation.

abc: 3.237 3.237 36.401
angles: 90.00 90.00 120.00
Fractional positions:
Mg 0.000 0.000 0.000
Mo 0.333 0.667 0.354
Mo 0.333 0.667 0.884
Mo 0.667 0.333 0.131
Se 0.333 0.667 0.084
Se 0.333 0.667 0.178
S 0.667 0.333 0.312
S 0.667 0.333 0.397
S 0.667 0.333 0.841
S 0.667 0.333 0.927

Results
- spin magnetization (Bohr magnetons per cell) = 0.0

3 | The following is a DFT calculation (PBE) of MgMo3Se2S4 after structural relaxation.

abc: 3.228 3.228 29.683
angles: 90.00 90.00 60.00
Fractional positions:
Mg 0.000 0.000 0.000
Mo 0.517 0.762 0.496
Mo 0.851 0.095 0.265
Mo 0.851 0.095 0.728
Se 0.851 0.095 0.439
Se 0.851 0.095 0.554
S 0.517 0.762 0.213
S 0.517 0.762 0.317
S 0.517 0.762 0.675
S 0.517 0.762 0.780

Results
- spin magnetization (Bohr magnetons per cell) = 0.0

Which one sits at the bottom of the stability order? 3 does.